(1)
The following is a DFT calculation (PBE-GGA) of a relaxed Na6Mg3ZrSi2S4O24 crystal.

Geometry as POSCAR:
```
Na6Mg3ZrSi2S4O24
1.0
9.062 0.000 0.000
4.530 7.853 0.000
0.040 0.103 22.553
Na Mg Zr Si S O
18 9 3 6 12 72
Cartesian
0.000 0.000 0.000 Na
1.643 2.792 5.374 Na
1.746 2.951 16.857 Na
3.493 5.641 18.820 Na
0.600 0.408 7.159 Na
6.196 5.847 20.531 Na
4.731 3.215 7.402 Na
6.408 5.684 9.266 Na
5.039 3.230 22.513 Na
3.513 0.098 11.065 Na
7.523 3.168 11.084 Na
8.974 5.502 7.483 Na
9.258 5.883 0.070 Na
6.258 0.361 12.999 Na
6.392 0.357 1.833 Na
9.617 5.684 14.819 Na
9.126 0.721 15.166 Na
12.129 5.711 3.465 Na
6.125 5.711 1.513 Mg
6.296 5.791 17.281 Mg
6.356 5.788 5.933 Mg
6.321 5.675 12.695 Mg
6.214 0.406 9.709 Mg
6.355 0.594 16.572 Mg
6.423 0.401 20.932 Mg
10.750 3.015 2.276 Mg
10.873 3.190 13.429 Mg
10.819 3.082 20.153 Zr
6.308 0.574 5.140 Zr
10.721 3.089 8.940 Zr
0.449 0.169 3.684 Si
3.599 0.422 7.526 Si
7.558 2.790 7.564 Si
9.475 5.490 11.336 Si
8.995 0.456 18.678 Si
12.173 5.454 22.549 Si
3.646 5.686 14.983 S
4.423 3.107 11.279 S
3.142 0.827 22.520 S
4.932 3.398 3.679 S
3.099 0.177 14.957 S
5.010 2.784 18.740 S
7.590 3.405 14.971 S
8.927 5.637 3.677 S
9.464 6.079 18.701 S
8.158 3.145 22.530 S
12.147 6.011 7.473 S
9.474 0.745 11.310 S
1.064 1.656 3.549 O
2.763 4.482 14.876 O
2.784 4.498 21.187 O
1.058 1.371 10.075 O
5.108 7.094 2.343 O
4.527 5.894 13.811 O
4.529 5.798 7.322 O
5.463 7.297 5.058 O
4.452 5.543 16.216 O
5.382 6.947 18.591 O
5.576 7.272 11.415 O
3.467 3.297 3.569 O
4.762 5.549 22.539 O
2.447 1.521 14.821 O
2.702 1.835 7.620 O
2.463 1.433 21.303 O
3.618 3.260 10.013 O
3.491 2.993 18.825 O
3.515 2.868 12.406 O
2.848 1.574 1.122 O
7.000 7.376 16.130 O
5.259 4.318 11.413 O
5.238 4.174 4.894 O
7.078 7.203 0.065 O
7.131 7.002 7.375 O
5.591 4.142 18.588 O
5.532 3.987 2.455 O
7.395 7.210 13.733 O
5.220 1.937 17.565 O
4.611 0.750 22.297 O
4.592 0.687 6.232 O
5.306 1.915 11.180 O
5.492 2.174 19.988 O
5.527 2.013 3.753 O
4.484 0.181 8.847 O
4.577 0.285 15.123 O
6.883 4.241 7.309 O
7.812 5.561 11.325 O
8.026 5.837 18.550 O
7.071 4.025 13.733 O
8.102 5.788 2.451 O
7.330 4.296 0.094 O
7.332 4.286 16.135 O
8.111 5.487 4.896 O
9.706 6.863 19.928 O
6.985 2.105 8.905 O
6.987 2.046 15.082 O
9.802 6.869 3.777 O
7.234 1.996 22.350 O
10.128 6.970 11.185 O
10.082 6.694 17.503 O
7.388 1.762 6.274 O
9.020 3.333 21.297 O
9.774 4.485 9.994 O
9.095 3.227 14.898 O
9.846 4.480 3.595 O
10.051 4.734 12.642 O
8.983 2.773 1.119 O
10.178 4.729 18.831 O
11.448 6.937 22.417 O
9.230 2.946 7.591 O
8.019 0.679 11.132 O
7.783 0.208 3.800 O
11.502 6.566 6.249 O
8.140 0.702 17.316 O
11.803 6.897 15.059 O
11.910 6.869 8.641 O
8.101 0.259 20.025 O
11.445 4.605 1.259 O
11.512 4.652 7.624 O
9.764 1.605 12.479 O
9.973 1.827 18.849 O
```

Summary:
DFT formation energy = -2.53 eV/atom
DFT total energy = -6.301 eV/atom

=====

(2)
The following is a DFT calculation (PBE-GGA) of a relaxed Na8Mg3ZrSi3S3O24 crystal.

Geometry as POSCAR:
```
Na8Mg3ZrSi3S3O24
1.0
9.162 0.000 0.000
4.526 7.968 0.000
0.068 0.216 22.382
Na Mg Zr Si S O
24 9 3 9 9 72
Cartesian
0.000 0.000 0.000 Na
3.143 5.515 9.518 Na
1.603 2.679 3.589 Na
3.357 5.359 20.782 Na
4.890 7.763 7.625 Na
2.167 2.715 18.928 Na
4.417 2.768 7.248 Na
6.168 5.626 19.073 Na
4.824 3.084 0.005 Na
6.166 5.295 11.144 Na
3.379 0.339 16.870 Na
3.349 0.053 5.493 Na
4.971 2.456 15.191 Na
6.559 5.136 3.530 Na
6.087 0.287 3.819 Na
10.626 8.067 18.638 Na
7.783 2.864 1.849 Na
9.208 5.383 14.825 Na
9.505 5.708 7.416 Na
7.960 2.686 13.053 Na
9.425 4.913 0.250 Na
11.230 7.930 11.284 Na
10.579 3.099 11.380 Na
9.353 0.543 14.801 Na
3.109 5.255 5.697 Mg
3.184 5.118 1.516 Mg
3.252 0.296 20.271 Mg
7.735 7.980 9.117 Mg
7.747 2.983 21.033 Mg
7.778 2.773 5.138 Mg
7.777 2.716 16.386 Mg
7.880 2.744 9.833 Mg
12.205 5.524 12.653 Mg
3.169 5.378 17.165 Zr
3.179 0.033 2.237 Zr
7.761 8.082 13.416 Zr
1.836 3.068 14.863 Si
1.832 2.619 22.308 Si
4.999 8.037 11.125 Si
4.600 2.962 3.803 Si
6.423 5.835 22.323 Si
5.149 2.808 18.669 Si
9.151 5.678 11.102 Si
9.638 5.368 3.786 Si
11.021 7.854 14.900 Si
4.487 7.679 3.802 S
5.900 5.453 14.907 S
4.591 2.464 11.118 S
6.425 5.079 7.486 S
10.533 8.176 22.338 S
9.135 5.159 18.648 S
6.483 0.427 7.506 S
9.197 0.498 18.651 S
10.499 2.725 7.495 S
2.400 3.898 0.080 O
4.258 6.855 5.023 O
4.178 6.638 11.307 O
2.558 3.784 16.205 O
2.119 1.456 1.278 O
1.490 0.348 12.448 O
1.508 0.308 18.706 O
2.254 1.530 7.592 O
5.930 7.858 9.804 O
2.557 1.929 21.033 O
4.725 5.574 0.110 O
5.999 7.811 3.705 O
2.543 1.565 14.857 O
4.145 4.213 18.576 O
3.998 3.795 11.289 O
5.054 5.655 16.120 O
3.910 3.580 5.159 O
4.937 5.264 7.388 O
5.084 5.241 13.727 O
4.373 3.919 2.517 O
6.721 6.706 14.844 O
3.967 1.806 9.946 O
6.775 6.719 20.997 O
3.854 1.461 3.644 O
4.173 1.462 18.743 O
7.034 6.393 1.263 O
7.071 6.437 7.537 O
4.353 1.612 12.356 O
6.688 4.271 8.700 O
6.073 3.089 19.959 O
6.822 4.310 15.078 O
6.980 4.390 6.291 O
6.013 2.660 17.295 O
6.062 2.559 11.003 O
7.115 4.350 22.364 O
6.214 2.673 3.924 O
8.592 6.683 3.641 O
4.979 0.299 7.543 O
8.489 6.472 12.452 O
9.349 7.930 14.850 O
8.568 6.528 18.732 O
5.055 0.213 1.176 O
8.920 6.643 9.820 O
9.671 7.953 21.148 O
8.358 4.238 11.090 O
6.826 1.428 22.236 O
8.629 4.520 17.414 O
6.805 1.209 6.284 O
7.098 1.390 15.012 O
6.999 1.119 8.708 O
8.724 3.994 3.898 O
8.917 4.347 19.830 O
10.480 5.729 5.155 O
11.310 6.906 16.268 O
11.317 6.779 0.138 O
10.591 5.196 2.487 O
11.642 7.037 7.469 O
11.698 7.145 13.635 O
10.757 5.469 11.237 O
10.666 5.323 18.568 O
9.388 2.972 15.080 O
8.658 1.390 11.105 O
9.356 2.643 22.250 O
8.563 1.079 3.973 O
8.620 1.107 19.840 O
9.642 2.866 8.696 O
8.913 1.291 17.427 O
9.652 2.516 6.292 O
13.078 7.080 2.602 O
11.337 3.963 7.414 O
13.089 7.074 18.527 O
11.343 3.958 13.581 O
```

Summary:
DFT formation energy = -2.59 eV/atom
DFT total energy = -6.282 eV/atom

=====

(3)
The following is a DFT calculation (PBE-GGA) of a relaxed Na2MgZr3Si2S4O24 crystal.

Geometry as POSCAR:
```
Na2MgZr3Si2S4O24
1.0
8.948 0.000 0.000
4.465 7.767 0.000
0.095 0.061 23.436
Na Mg Zr Si S O
6 3 9 6 12 72
Cartesian
0.000 0.000 0.000 Na
4.467 7.676 11.607 Na
4.512 2.761 15.416 Na
4.378 2.459 3.850 Na
9.055 5.253 19.463 Na
9.053 5.177 7.741 Na
4.506 2.806 12.123 Mg
4.381 2.522 0.456 Mg
13.361 7.778 19.907 Mg
4.483 7.644 15.103 Zr
4.307 2.623 7.290 Zr
4.451 2.726 19.027 Zr
8.919 5.324 23.014 Zr
8.909 5.229 11.179 Zr
8.961 5.306 4.392 Zr
8.936 5.201 16.010 Zr
8.804 0.026 8.215 Zr
8.961 0.114 3.457 Zr
3.175 4.884 9.801 Si
7.562 7.547 1.939 Si
6.307 5.130 13.621 Si
6.300 0.081 5.803 Si
12.084 5.602 17.633 Si
10.180 2.309 5.857 Si
1.877 2.618 21.472 S
2.593 0.057 17.591 S
5.726 5.536 5.831 S
5.770 4.920 21.490 S
3.153 0.400 9.794 S
7.014 2.618 9.772 S
5.835 0.425 21.469 S
7.549 2.947 1.902 S
10.207 7.518 13.624 S
7.675 2.283 17.586 S
10.260 2.946 13.632 S
11.520 5.167 1.890 S
3.828 6.395 9.600 O
1.028 1.435 21.258 O
3.817 6.234 16.253 O
1.020 1.371 4.518 O
2.744 2.834 20.234 O
3.424 3.991 8.426 O
3.420 3.992 1.697 O
2.754 2.770 13.510 O
2.737 2.462 22.645 O
3.785 4.210 11.091 O
2.859 2.464 5.948 O
3.837 4.071 17.761 O
1.693 0.222 9.622 O
5.219 6.269 21.302 O
5.920 7.568 2.008 O
1.787 0.293 16.360 O
5.128 6.140 4.618 O
5.424 6.555 13.791 O
6.240 7.641 18.786 O
5.512 6.359 7.034 O
5.213 4.263 22.667 O
5.135 4.193 5.978 O
3.441 1.185 10.984 O
3.496 1.251 17.733 O
3.792 1.205 1.761 O
5.534 4.072 20.254 O
5.392 3.829 13.586 O
3.751 0.970 8.550 O
7.193 5.383 5.672 O
7.936 6.629 17.404 O
7.874 6.534 0.608 O
7.298 5.417 12.351 O
8.240 6.790 9.889 O
8.209 6.714 3.195 O
7.285 5.012 21.578 O
7.298 5.065 14.958 O
5.111 1.052 13.473 O
6.106 2.830 1.696 O
5.207 1.019 20.243 O
5.398 1.403 6.015 O
6.231 2.814 8.543 O
6.182 2.440 17.751 O
5.539 1.232 22.653 O
6.218 2.403 10.972 O
7.906 3.832 9.904 O
7.839 3.742 3.099 O
9.667 6.850 14.852 O
9.674 6.805 21.598 O
9.820 6.505 5.691 O
8.241 3.665 17.420 O
8.197 3.577 0.683 O
10.023 6.645 12.443 O
7.896 1.502 16.356 O
7.290 0.269 21.308 O
7.935 1.441 9.635 O
7.232 0.208 4.472 O
8.273 1.700 18.783 O
11.694 7.671 13.804 O
8.186 1.596 1.992 O
9.481 3.757 5.626 O
11.684 7.551 7.123 O
10.479 5.362 17.360 O
10.461 5.071 9.922 O
10.617 5.357 0.691 O
9.645 3.590 12.452 O
9.981 3.855 21.572 O
10.007 3.802 14.852 O
10.680 4.956 3.098 O
9.578 1.638 13.836 O
12.379 6.480 18.911 O
12.318 6.400 2.010 O
9.589 1.578 7.173 O
```

Summary:
DFT formation energy = -2.70 eV/atom
DFT total energy = -7.133 eV/atom